[1]
Material: Na14Ca2Si9Ge6S3O48
Method: DFT, PBE
State: relaxed

The structure in CIF format:
```
data_Na14Ca2Si9Ge6S3O48
_chemical_formula_sum 'Na42 Ca6 Si27 Ge18 S9 O144'
_symmetry_space_group_name_H-M 'P 1'
_symmetry_Int_Tables_number 1
_cell_length_a 9.018
_cell_length_b 15.437
_cell_length_c 21.898
_cell_angle_alpha 90.09
_cell_angle_beta 90.56
_cell_angle_gamma 90.05
loop_
_symmetry_equiv_pos_as_xyz
'x,y,z'
loop_
_atom_site_label
_atom_site_fract_x
_atom_site_fract_y
_atom_site_fract_z
Na1 0.000 0.000 0.000
Na2 0.000 0.326 0.671
Na3 0.001 0.661 0.340
Na4 0.132 0.171 0.090
Na5 0.132 0.499 0.751
Na6 0.133 0.826 0.917
Na7 0.134 0.157 0.588
Na8 0.140 0.484 0.254
Na9 0.145 0.821 0.424
Na10 0.264 0.005 0.512
Na11 0.280 0.665 0.841
Na12 0.317 0.303 0.508
Na13 0.319 0.980 0.837
Na14 0.320 0.644 0.168
Na15 0.325 0.010 0.175
Na16 0.329 0.336 0.835
Na17 0.339 0.684 0.502
Na18 0.442 0.183 0.999
Na19 0.450 0.837 0.342
Na20 0.454 0.508 0.675
Na21 0.459 0.478 0.343
Na22 0.463 0.143 0.675
Na23 0.466 0.802 0.003
Na24 0.500 0.166 0.345
Na25 0.519 0.503 0.007
Na26 0.633 0.320 0.921
Na27 0.640 0.992 0.751
Na28 0.645 0.325 0.424
Na29 0.645 0.655 0.087
Na30 0.647 0.670 0.591
Na31 0.648 0.001 0.253
Na32 0.770 0.162 0.830
Na33 0.770 0.499 0.506
Na34 0.778 0.831 0.173
Na35 0.816 0.483 0.829
Na36 0.820 0.803 0.513
Na37 0.825 0.836 0.839
Na38 0.839 0.180 0.505
Na39 0.943 0.680 0.001
Na40 0.952 0.335 0.343
Na41 0.957 0.982 0.334
Na42 0.958 0.301 0.009
Ca1 0.131 0.154 0.938
Ca2 0.131 0.167 0.442
Ca3 0.146 0.829 0.264
Ca4 0.636 0.323 0.761
Ca5 0.644 0.656 0.441
Ca6 0.648 0.666 0.942
Si1 0.010 0.639 0.508
Si2 0.274 0.644 0.012
Si3 0.283 0.354 0.005
Si4 0.286 0.308 0.339
Si5 0.291 0.965 0.669
Si6 0.292 0.685 0.671
Si7 0.329 0.658 0.344
Si8 0.338 0.329 0.671
Si9 0.439 0.158 0.842
Si10 0.446 0.828 0.173
Si11 0.486 0.186 0.170
Si12 0.486 0.466 0.169
Si13 0.493 0.808 0.840
Si14 0.500 0.857 0.508
Si15 0.502 0.145 0.512
Si16 0.769 0.139 0.008
Si17 0.779 0.509 0.334
Si18 0.788 0.483 0.674
Si19 0.790 0.859 0.011
Si20 0.798 0.166 0.674
Si21 0.837 0.161 0.337
Si22 0.854 0.486 0.014
Si23 0.928 0.986 0.513
Si24 0.941 0.661 0.838
Si25 0.987 0.359 0.510
Si26 0.990 0.983 0.174
Si27 0.998 0.007 0.835
Ge1 0.118 0.496 0.398
Ge2 0.120 0.501 0.913
Ge3 0.126 0.498 0.614
Ge4 0.128 0.168 0.233
Ge5 0.143 0.832 0.072
Ge6 0.151 0.142 0.729
Ge7 0.153 0.490 0.105
Ge8 0.154 0.824 0.772
Ge9 0.164 0.828 0.564
Ge10 0.603 0.643 0.236
Ge11 0.617 0.328 0.064
Ge12 0.621 0.325 0.273
Ge13 0.634 0.997 0.608
Ge14 0.650 0.669 0.733
Ge15 0.651 0.999 0.114
Ge16 0.655 0.321 0.579
Ge17 0.657 0.006 0.416
Ge18 0.664 0.997 0.895
S1 0.295 0.013 0.339
S2 0.351 0.988 0.010
S3 0.422 0.489 0.508
S4 0.482 0.512 0.840
S5 0.782 0.813 0.337
S6 0.849 0.825 0.672
S7 0.932 0.328 0.172
S8 0.986 0.671 0.170
S9 0.994 0.318 0.840
O1 0.013 0.415 0.444
O2 0.021 0.269 0.897
O3 0.021 0.731 0.117
O4 0.025 0.894 0.515
O5 0.029 0.246 0.175
O6 0.032 0.405 0.170
O7 0.033 0.082 0.783
O8 0.035 0.068 0.509
O9 0.042 0.568 0.846
O10 0.045 0.707 0.227
O11 0.053 0.274 0.785
O12 0.054 0.743 0.825
O13 0.055 0.578 0.564
O14 0.056 0.263 0.511
O15 0.057 0.584 0.165
O16 0.057 0.908 0.820
O17 0.064 0.407 0.567
O18 0.073 0.025 0.901
O19 0.075 0.597 0.442
O20 0.076 0.404 0.843
O21 0.081 0.077 0.177
O22 0.087 0.929 0.119
O23 0.093 0.735 0.512
O24 0.188 0.740 0.016
O25 0.189 0.258 0.283
O26 0.191 0.600 0.950
O27 0.197 0.402 0.346
O28 0.209 0.924 0.609
O29 0.211 0.727 0.731
O30 0.213 0.397 0.067
O31 0.215 0.737 0.336
O32 0.216 0.258 0.006
O33 0.220 0.065 0.673
O34 0.227 0.926 0.338
O35 0.228 0.584 0.665
O36 0.229 0.415 0.660
O37 0.239 0.238 0.677
O38 0.240 0.563 0.346
O39 0.242 0.055 0.396
O40 0.244 0.585 0.073
O41 0.249 0.420 0.946
O42 0.250 0.063 0.010
O43 0.251 0.910 0.730
O44 0.259 0.065 0.283
O45 0.259 0.904 0.012
O46 0.265 0.745 0.610
O47 0.296 0.253 0.401
O48 0.301 0.484 0.167
O49 0.304 0.173 0.182
O50 0.313 0.825 0.827
O51 0.314 0.852 0.506
O52 0.315 0.506 0.841
O53 0.323 0.805 0.116
O54 0.324 0.143 0.781
O55 0.327 0.155 0.509
O56 0.331 0.482 0.450
O57 0.332 0.498 0.563
O58 0.348 0.174 0.904
O59 0.371 0.852 0.236
O60 0.412 0.359 0.735
O61 0.429 0.681 0.402
O62 0.436 0.640 0.281
O63 0.437 0.978 0.954
O64 0.442 0.996 0.066
O65 0.450 0.653 0.011
O66 0.462 0.007 0.340
O67 0.465 0.308 0.617
O68 0.466 0.325 0.328
O69 0.468 0.351 0.005
O70 0.472 0.980 0.667
O71 0.474 0.674 0.683
O72 0.484 0.755 0.902
O73 0.514 0.246 0.109
O74 0.514 0.408 0.509
O75 0.517 0.566 0.785
O76 0.521 0.410 0.230
O77 0.522 0.566 0.508
O78 0.530 0.082 0.570
O79 0.532 0.921 0.445
O80 0.536 0.064 0.844
O81 0.536 0.552 0.897
O82 0.550 0.084 0.164
O83 0.550 0.240 0.837
O84 0.550 0.425 0.838
O85 0.550 0.735 0.180
O86 0.552 0.913 0.162
O87 0.557 0.567 0.175
O88 0.564 0.426 0.108
O89 0.567 0.228 0.230
O90 0.567 0.761 0.508
O91 0.570 0.902 0.568
O92 0.581 0.903 0.847
O93 0.585 0.104 0.449
O94 0.589 0.241 0.516
O95 0.590 0.758 0.785
O96 0.687 0.235 0.012
O97 0.696 0.577 0.677
O98 0.698 0.428 0.618
O99 0.701 0.531 0.397
O100 0.702 0.096 0.943
O101 0.702 0.898 0.338
O102 0.712 0.906 0.068
O103 0.717 0.071 0.664
O104 0.717 0.197 0.734
O105 0.722 0.410 0.318
O106 0.723 0.767 0.281
O107 0.724 0.762 0.012
O108 0.725 0.079 0.065
O109 0.726 0.245 0.324
O110 0.734 0.068 0.345
O111 0.744 0.586 0.280
O112 0.749 0.569 0.011
O113 0.751 0.901 0.671
O114 0.753 0.743 0.676
O115 0.755 0.396 0.017
O116 0.757 0.764 0.393
O117 0.765 0.916 0.946
O118 0.772 0.240 0.617
O119 0.781 0.431 0.737
O120 0.801 0.353 0.516
O121 0.808 0.002 0.565
O122 0.810 0.993 0.165
O123 0.813 0.006 0.838
O124 0.817 0.638 0.783
O125 0.821 0.666 0.170
O126 0.832 0.650 0.510
O127 0.833 0.332 0.837
O128 0.834 0.970 0.445
O129 0.842 0.317 0.116
O130 0.843 0.335 0.228
O131 0.867 0.687 0.901
O132 0.912 0.187 0.400
O133 0.937 0.813 0.617
O134 0.942 0.832 0.729
O135 0.944 0.826 0.334
O136 0.947 0.150 0.009
O137 0.948 0.470 0.949
O138 0.959 0.138 0.282
O139 0.964 0.508 0.338
O140 0.968 0.493 0.665
O141 0.974 0.503 0.069
O142 0.978 0.853 0.018
O143 0.982 0.167 0.678
O144 0.994 0.930 0.236
```

## Properties
The calculation puts the energy with MP2020 corrections at -6.73 eV/atom.

=====

[2]
Material: AlB7Pd15
Method: DFT, PBE
State: relaxed

The structure in CIF format:
```
data_AlB7Pd15
_chemical_formula_sum 'Al16 B112 Pd240'
_symmetry_space_group_name_H-M 'I a -3 d'
_symmetry_Int_Tables_number 230
_symmetry_space_group_name_Hall '-I 4bd 2c 3'
_cell_length_a 16.632
_cell_length_b 16.632
_cell_length_c 16.632
_cell_angle_alpha 90.00
_cell_angle_beta 90.00
_cell_angle_gamma 90.00
loop_
_atom_site_label
_atom_site_fract_x
_atom_site_fract_y
_atom_site_fract_z
Al1 0.000 0.000 0.000
B1 0.000 0.250 0.263
B2 0.119 0.131 0.625
B3 0.125 0.125 0.125
Pd1 0.001 0.147 0.077
Pd2 0.005 0.143 0.912
Pd3 0.006 0.125 0.244
```

## Properties
The calculation puts the calculated total energy at -2145.17 eV/cell.

=====

Number 1: size of the total moment 0.00 Bohr magnetons per cell, mass density 3.19 g/cm³. Number 2: size of the total moment 0.03 Bohr magnetons per cell, mass density 9.81 g/cm³.